Entry 1:
## GaCuSe2 (GGA-PBE)

Data for a relaxed GaCuSe2 crystal.

## Properties
Energy relative to the elements ... -2.9 eV per formula unit
Piezoelectric modulus e_max ... 0.053 C/m2
Energy with MP2020 corrections ... -4.2436 eV/atom

a b c (Å): 6.908 6.908 6.908
angles (deg): 131.56 131.56 70.92
Element x y z (fractional)
Ga: 0.500 0.500 0.000
Ga: 0.250 0.750 0.500
Cu: 0.000 0.000 0.000
Cu: 0.750 0.250 0.500
Se: 0.375 0.369 0.494
Se: 0.631 0.125 0.006
Se: 0.119 0.625 0.994
Se: 0.875 0.881 0.506

=====

Entry 2:
## GaCuSe2 (GGA-PBE)

Data for a relaxed GaCuSe2 crystal.

## Properties
Energy relative to the elements ... -1.9 eV per formula unit
Energy with MP2020 corrections ... -4.0076 eV/atom

a b c (Å): 6.524 6.524 6.524
angles (deg): 132.05 132.05 70.15
Element x y z (fractional)
Ga: 0.000 0.000 0.000
Ga: 0.750 0.250 0.500
Cu: 0.250 0.750 0.500
Cu: 0.500 0.500 0.000
Se: 0.750 0.750 0.000
Se: 0.250 0.250 0.000
Se: 0.000 0.500 0.500
Se: 0.500 0.000 0.500

=====

Entry 3:
## GaCuSe2 (GGA-PBE)

Data for a relaxed GaCuSe2 crystal.

## Properties
Energy relative to the elements ... -1.9 eV per formula unit
Energy with MP2020 corrections ... -3.9947 eV/atom

a b c (Å): 3.774 3.774 5.266
angles (deg): 90.00 90.00 90.00
Element x y z (fractional)
Ga: 0.500 0.500 0.500
Cu: 0.000 0.000 0.000
Se: 0.000 0.000 0.500
Se: 0.500 0.500 0.000

=====

Entry 4:
## Ga3Cu3SiSe8 (GGA-PBE)

Data for a relaxed Ga3Cu3SiSe8 crystal.

## Properties
Energy relative to the elements ... -10.7 eV per formula unit
Energy with MP2020 corrections ... -4.3655 eV/atom

a b c (Å): 5.679 5.679 10.770
angles (deg): 90.00 90.00 90.00
Element x y z (fractional)
Ga: 0.500 0.000 0.259
Ga: 0.000 0.500 0.741
Ga: 0.500 0.500 0.000
Cu: 0.000 0.500 0.257
Cu: 0.500 0.000 0.743
Cu: 0.000 0.000 0.000
Si: 0.000 0.000 0.500
Se: 0.755 0.250 0.389
Se: 0.251 0.754 0.871
Se: 0.245 0.750 0.389
Se: 0.749 0.246 0.871
Se: 0.246 0.251 0.129
Se: 0.750 0.755 0.611
Se: 0.754 0.749 0.129
Se: 0.250 0.245 0.611

=====

Entry 5:
## GaCuSnSe4 (GGA-PBE)

Data for a relaxed GaCuSnSe4 crystal.

## Properties
Energy relative to the elements ... -4.8 eV per formula unit
Energy with MP2020 corrections ... -4.2731 eV/atom

a b c (Å): 6.935 6.935 6.935
angles (deg): 131.66 131.66 70.76
Element x y z (fractional)
Ga: 0.750 0.250 0.500
Cu: 0.250 0.750 0.500
Sn: 0.500 0.500 0.000
Se: 0.641 0.645 0.538
Se: 0.107 0.102 0.462
Se: 0.898 0.359 0.004
Se: 0.355 0.893 0.996

=====

Entry 6:
## SrGaCu3Se4 (GGA-PBE)

Data for a relaxed SrGaCu3Se4 crystal.

## Properties
Energy relative to the elements ... -6.2 eV per formula unit
Energy with MP2020 corrections ... -4.1373 eV/atom

a b c (Å): 6.080 6.080 6.080
angles (deg): 90.00 90.00 90.00
Element x y z (fractional)
Sr: 0.500 0.500 0.500
Ga: 0.000 0.000 0.000
Cu: 0.000 0.500 0.000
Cu: 0.000 0.000 0.500
Cu: 0.500 0.000 0.000
Se: 0.227 0.227 0.227
Se: 0.773 0.773 0.227
Se: 0.227 0.773 0.773
Se: 0.773 0.227 0.773

=====

Entry 7:
## Ga3Cu3Te4Se2 (GGA-PBE)

Data for a relaxed Ga3Cu3Te4Se2 crystal.

## Properties
Energy relative to the elements ... -4.9 eV per formula unit
Relative energy among the computed polymorphs ... 0.0000 eV per atom
Energy with MP2020 corrections ... -3.8242 eV/atom

a b c (Å): 18.262 18.262 5.959
angles (deg): 80.70 80.70 18.81
Element x y z (fractional)
Ga: 0.085 0.838 0.290
Ga: 0.741 0.511 0.634
Ga: 0.406 0.180 0.968
Ga: 0.162 0.915 0.710
Ga: 0.820 0.594 0.032
Ga: 0.489 0.259 0.366
Cu: 0.588 0.335 0.788
Cu: 0.262 0.991 0.114
Cu: 0.929 0.658 0.445
Cu: 0.009 0.738 0.886
Cu: 0.665 0.412 0.212
Cu: 0.342 0.071 0.555
Te: 0.052 0.281 0.333
Te: 0.719 0.948 0.667
Te: 0.793 0.043 0.068
Te: 0.457 0.707 0.406
Te: 0.125 0.375 0.737
Te: 0.293 0.543 0.594
Te: 0.957 0.207 0.932
Te: 0.625 0.875 0.263
Se: 0.871 0.129 0.500
Se: 0.533 0.799 0.834
Se: 0.201 0.467 0.166
Se: 0.377 0.623 0.000

=====

Entry 8:
## Ga3Cu3Te4Se2 (GGA-PBE)

Data for a relaxed Ga3Cu3Te4Se2 crystal.

## Properties
Energy relative to the elements ... -4.9 eV per formula unit
Relative energy among the computed polymorphs ... 0.0036 eV per atom
Energy with MP2020 corrections ... -3.8206 eV/atom

a b c (Å): 7.253 8.487 11.103
angles (deg): 67.53 90.51 90.00
Element x y z (fractional)
Ga: 0.351 0.527 0.677
Ga: 0.851 0.795 0.677
Ga: 0.162 0.457 0.331
Ga: 0.662 0.212 0.331
Ga: 0.496 0.111 0.998
Ga: 0.996 0.892 0.998
Cu: 0.019 0.362 0.006
Cu: 0.519 0.632 0.006
Cu: 0.825 0.270 0.674
Cu: 0.325 0.055 0.674
Cu: 0.668 0.723 0.322
Cu: 0.168 0.955 0.322
Te: 0.822 0.424 0.422
Te: 0.322 0.154 0.422
Te: 0.341 0.667 0.416
Te: 0.841 0.917 0.416
Te: 0.002 0.483 0.756
Te: 0.502 0.762 0.756
Te: 0.675 0.335 0.073
Te: 0.175 0.591 0.073
Se: 0.506 0.239 0.754
Se: 0.006 0.007 0.754
Se: 0.173 0.081 0.084
Se: 0.673 0.835 0.084

=====

Entry 9:
## SmGa8Cu4 (GGA-PBE)

Data for a relaxed SmGa8Cu4 crystal.

## Properties
Energy relative to the elements ... -2.8 eV per formula unit

a b c (Å): 9.014 9.014 8.971
angles (deg): 90.00 90.00 120.00
Element x y z (fractional)
Sm: 0.000 0.000 0.000
Sm: 0.333 0.667 0.500
Sm: 0.667 0.333 0.500
Ga: 0.500 0.000 0.274
Ga: 0.500 0.000 0.726
Ga: 0.000 0.500 0.274
Ga: 0.000 0.500 0.726
Ga: 0.500 0.500 0.274
Ga: 0.500 0.500 0.726
Ga: 0.333 0.667 0.146
Ga: 0.667 0.333 0.854
Ga: 0.667 0.333 0.146
Ga: 0.333 0.667 0.854
Ga: 0.000 0.000 0.348
Ga: 0.000 0.000 0.652
Ga: 0.346 0.000 0.000
Ga: 0.654 0.000 0.000
Ga: 0.000 0.346 0.000
Ga: 0.000 0.654 0.000
Ga: 0.654 0.654 0.000
Ga: 0.346 0.346 0.000
Ga: 0.297 0.000 0.500
Ga: 0.703 0.000 0.500
Ga: 0.000 0.297 0.500
Ga: 0.000 0.703 0.500
Ga: 0.703 0.703 0.500
Ga: 0.297 0.297 0.500
Cu: 0.167 0.334 0.241
Cu: 0.833 0.666 0.759
Cu: 0.666 0.833 0.241
Cu: 0.833 0.666 0.241
Cu: 0.334 0.167 0.759
Cu: 0.167 0.334 0.759
Cu: 0.167 0.833 0.241
Cu: 0.334 0.167 0.241
Cu: 0.833 0.167 0.759
Cu: 0.666 0.833 0.759
Cu: 0.833 0.167 0.241
Cu: 0.167 0.833 0.759

=====

Entry 10:
## SmGa3Cu (GGA-PBE)

Data for a relaxed SmGa3Cu crystal.

## Properties
Energy relative to the elements ... -2.5 eV per formula unit

a b c (Å): 6.091 6.091 6.091
angles (deg): 140.11 140.11 57.68
Element x y z (fractional)
Sm: 0.000 0.000 0.000
Ga: 0.616 0.616 0.000
Ga: 0.384 0.384 0.000
Ga: 0.750 0.250 0.500
Cu: 0.250 0.750 0.500

=====

Entry 11:
## Sm2Ga3Cu (GGA-PBE)

Data for a relaxed Sm2Ga3Cu crystal.

## Properties
Energy relative to the elements ... -3.5 eV per formula unit
Relative energy among the computed polymorphs ... 0.0000 eV per atom

a b c (Å): 4.427 4.427 7.453
angles (deg): 90.00 90.00 120.00
Element x y z (fractional)
Sm: 0.000 0.000 0.733
Sm: 0.000 0.000 0.262
Ga: 0.333 0.667 0.481
Ga: 0.333 0.667 0.043
Ga: 0.667 0.333 0.953
Cu: 0.667 0.333 0.529

=====

Entry 12:
## Sm2Ga5Cu3 (GGA-PBE)

Data for a relaxed Sm2Ga5Cu3 crystal.

## Properties
Energy relative to the elements ... -4.7 eV per formula unit

a b c (Å): 4.207 4.207 10.266
angles (deg): 90.00 90.00 90.00
Element x y z (fractional)
Sm: 0.500 0.000 0.744
Sm: 0.000 0.500 0.256
Ga: 0.000 0.500 0.863
Ga: 0.500 0.000 0.378
Ga: 0.500 0.000 0.137
Ga: 0.000 0.500 0.622
Ga: 0.500 0.500 0.000
Cu: 0.000 0.000 0.500
Cu: 0.000 0.000 0.000
Cu: 0.500 0.500 0.500

=====

Entry 13:
## Sm2Ga3Cu (GGA-PBE)

Data for a relaxed Sm2Ga3Cu crystal.

## Properties
Energy relative to the elements ... -3.5 eV per formula unit
Relative energy among the computed polymorphs ... 0.0034 eV per atom

a b c (Å): 3.737 4.418 7.644
angles (deg): 90.00 90.00 90.00
Element x y z (fractional)
Sm: 0.000 0.500 0.002
Sm: 0.000 0.000 0.498
Ga: 0.500 0.000 0.836
Ga: 0.500 0.000 0.175
Ga: 0.500 0.500 0.658
Cu: 0.500 0.500 0.331

=====

Entry 14:
## SrGaCu2 (GGA-PBE)

Data for a relaxed SrGaCu2 crystal.

## Properties
Energy relative to the elements ... -1.0 eV per formula unit

a b c (Å): 5.877 5.877 5.877
angles (deg): 42.78 42.78 42.78
Element x y z (fractional)
Sr: 0.000 0.000 0.000
Ga: 0.500 0.500 0.500
Cu: 0.189 0.189 0.189
Cu: 0.811 0.811 0.811

=====

Entry 15:
## Tb2Ga5Cu3 (GGA-PBE)

Data for a relaxed Tb2Ga5Cu3 crystal.

## Properties
Energy relative to the elements ... -4.5 eV per formula unit

a b c (Å): 4.137 4.137 10.260
angles (deg): 90.00 90.00 90.00
Element x y z (fractional)
Tb: 0.000 0.000 0.993
Tb: 0.500 0.500 0.507
Ga: 0.500 0.500 0.110
Ga: 0.000 0.000 0.628
Ga: 0.000 0.000 0.390
Ga: 0.500 0.500 0.872
Ga: 0.000 0.500 0.250
Cu: 0.500 0.000 0.750
Cu: 0.500 0.000 0.250
Cu: 0.000 0.500 0.750

=====

Entry 16:
## GaCuTe2 (GGA-PBE)

Data for a relaxed GaCuTe2 crystal.

## Properties
Energy relative to the elements ... -1.2 eV per formula unit
Energy with MP2020 corrections ... -3.6450 eV/atom

a b c (Å): 6.987 6.987 6.987
angles (deg): 131.64 131.64 70.80
Element x y z (fractional)
Ga: 0.000 0.000 0.000
Ga: 0.750 0.250 0.500
Cu: 0.500 0.500 0.000
Cu: 0.250 0.750 0.500
Te: 0.006 0.506 0.500
Te: 0.744 0.744 0.000
Te: 0.494 0.994 0.500
Te: 0.256 0.256 0.000

=====

Entry 17:
## GaCuTe2 (GGA-PBE)

Data for a relaxed GaCuTe2 crystal.

## Properties
Energy relative to the elements ... -2.0 eV per formula unit
Piezoelectric modulus e_max ... 0.354 C/m2
Energy with MP2020 corrections ... -3.8489 eV/atom

a b c (Å): 7.446 7.446 7.446
angles (deg): 131.75 131.75 70.62
Element x y z (fractional)
Ga: 0.500 0.500 0.000
Ga: 0.250 0.750 0.500
Cu: 0.000 0.000 0.000
Cu: 0.750 0.250 0.500
Te: 0.375 0.362 0.487
Te: 0.638 0.125 0.013
Te: 0.112 0.625 0.987
Te: 0.875 0.888 0.513

=====

Entry 18:
## GaCuTe2 (GGA-PBE)

Data for a relaxed GaCuTe2 crystal.

## Properties
Energy relative to the elements ... -1.2 eV per formula unit
Energy with MP2020 corrections ... -3.6607 eV/atom

a b c (Å): 6.971 6.971 6.971
angles (deg): 33.72 33.72 33.72
Element x y z (fractional)
Ga: 0.500 0.500 0.500
Cu: 0.000 0.000 0.000
Te: 0.256 0.256 0.256
Te: 0.744 0.744 0.744

=====

Entry 19:
## GaCuTe2 (GGA-PBE)

Data for a relaxed GaCuTe2 crystal.

## Properties
Energy relative to the elements ... -1.1 eV per formula unit
Energy with MP2020 corrections ... -3.6309 eV/atom

a b c (Å): 4.042 4.042 5.638
angles (deg): 90.00 90.00 90.00
Element x y z (fractional)
Ga: 0.500 0.500 0.500
Cu: 0.000 0.000 0.000
Te: 0.000 0.000 0.500
Te: 0.500 0.500 0.000

=====

Entry 20:
## GaCuTe2 (GGA-PBE)

Data for a relaxed GaCuTe2 crystal.

## Properties
Energy relative to the elements ... -1.8 eV per formula unit
Energy with MP2020 corrections ... -3.7992 eV/atom

a b c (Å): 7.441 7.441 7.441
angles (deg): 33.80 33.80 33.80
Element x y z (fractional)
Ga: 0.507 0.507 0.507
Cu: 0.994 0.994 0.994
Te: 0.118 0.118 0.118
Te: 0.631 0.631 0.631

=====

Entry 21:
## TiGaCu (GGA-PBE)

Data for a relaxed TiGaCu crystal.

## Properties
Energy relative to the elements ... -0.6 eV per formula unit

a b c (Å): 4.275 4.275 5.538
angles (deg): 90.00 90.00 120.00
Element x y z (fractional)
Ti: 0.000 0.000 0.237
Ti: 0.000 0.000 0.763
Ga: 0.667 0.333 0.522
Ga: 0.333 0.667 0.478
Cu: 0.333 0.667 0.002
Cu: 0.667 0.333 0.998

=====

Entry 22:
## Tm2Ga3Cu (GGA-PBE)

Data for a relaxed Tm2Ga3Cu crystal.

## Properties
Energy relative to the elements ... -3.5 eV per formula unit

a b c (Å): 4.349 4.349 7.089
angles (deg): 90.00 90.00 120.00
Element x y z (fractional)
Tm: 0.333 0.667 0.730
Tm: 0.333 0.667 0.261
Ga: 0.667 0.333 0.476
Ga: 0.667 0.333 0.046
Ga: 0.000 0.000 0.949
Cu: 0.000 0.000 0.538

=====

Entry 23:
## Tm2GaCu (GGA-PBE)

Data for a relaxed Tm2GaCu crystal.

## Properties
Energy relative to the elements ... -1.7 eV per formula unit

a b c (Å): 4.906 4.906 4.906
angles (deg): 60.00 60.00 60.00
Element x y z (fractional)
Tm: 0.250 0.250 0.250
Tm: 0.750 0.750 0.750
Ga: 0.000 0.000 0.000
Cu: 0.500 0.500 0.500

=====

Computed values of final energy (unit: eV per formula unit) for the preceding records, in sequence: -16.03 -15.09 -15.03 -61.71 -28.02 -35.35 -44.95 -44.90 -48.16 -20.37 -26.14 -41.56 -26.12 -13.95 -41.18 -13.74 -14.55 -13.80 -13.68 -14.35 -15.62 -25.65 -17.83.